First-principles (PBE) data for crystalline AgIO3 at its relaxed geometry, as listed in Materials Project.

calculated formation energy = -0.70 eV per atom

Cell lengths 5.9123, 6.2989, 17.3962 Å; angles 90.00, 90.00, 90.00 degrees
Last column: nearest neighbours and their distance in Å.
Fractional positions:
1 Ag 0.5166 0.2873 0.5399  5 O 2.37-2.64
2 Ag 0.4834 0.7873 0.9601  5 O 2.37-2.64
3 Ag 0.9834 0.7127 0.0399  5 O 2.37-2.64
4 Ag 0.0166 0.2127 0.4601  5 O 2.37-2.64
5 Ag 0.4834 0.7127 0.4601  5 O 2.37-2.64
6 Ag 0.5166 0.2127 0.0399  5 O 2.37-2.64
7 Ag 0.0166 0.2873 0.9601  5 O 2.37-2.64
8 Ag 0.9834 0.7873 0.5399  5 O 2.37-2.64
9 I 0.0135 0.3095 0.6610  3 O 1.83-1.86
10 I 0.9865 0.8095 0.8390  3 O 1.83-1.86
11 I 0.4865 0.6905 0.1610  3 O 1.83-1.86
12 I 0.5135 0.1905 0.3390  3 O 1.83-1.86
13 I 0.9865 0.6905 0.3390  3 O 1.83-1.86
14 I 0.0135 0.1905 0.1610  3 O 1.83-1.86
15 I 0.5135 0.3095 0.8390  3 O 1.83-1.86
16 I 0.4865 0.8095 0.6610  3 O 1.83-1.86
17 O 0.1429 0.4039 0.5695  1 I 1.86
18 O 0.8571 0.9039 0.9305  1 I 1.86
19 O 0.3571 0.5961 0.0695  1 I 1.86
20 O 0.6429 0.0961 0.4305  1 I 1.86
21 O 0.8571 0.5961 0.4305  1 I 1.86
22 O 0.1429 0.0961 0.0695  1 I 1.86
23 O 0.6429 0.4039 0.9305  1 I 1.86
24 O 0.3571 0.9039 0.5695  1 I 1.86
25 O 0.2445 0.1585 0.7052  1 I 1.83
26 O 0.7555 0.6585 0.7948  1 I 1.83
27 O 0.2555 0.8415 0.2052  1 I 1.83
28 O 0.7445 0.3415 0.2948  1 I 1.83
29 O 0.7555 0.8415 0.2948  1 I 1.83
30 O 0.2445 0.3415 0.2052  1 I 1.83
31 O 0.7445 0.1585 0.7948  1 I 1.83
32 O 0.2555 0.6585 0.7052  1 I 1.83
33 O 0.8425 0.0985 0.6137  1 I 1.86
34 O 0.1575 0.5985 0.8863  1 I 1.86
35 O 0.6575 0.9015 0.1137  1 I 1.86
36 O 0.3425 0.4015 0.3863  1 I 1.86
37 O 0.1575 0.9015 0.3863  1 I 1.86
38 O 0.8425 0.4015 0.1137  1 I 1.86
39 O 0.3425 0.0985 0.8863  1 I 1.86
40 O 0.6575 0.5985 0.6137  1 I 1.86